1.
La7SmMn4Fe4O24 (PBE with a Hubbard U, relaxed); corrected total energy (MP2020 scheme) = -340.818 eV per formula unit; E_form = -2.81 eV per atom; SG = No. 99; V = 492 Å³/cell; total magnetic moment = 0.90 μB per atom
1.0
-3.608 6.990 -0.891
-5.180 -1.953 5.658
4.737 3.136 5.419
Fe O Mn La Sm
4 24 4 7 1
Cartesian
-0.051 3.420 9.437 Fe
-1.853 6.911 8.992 Fe
0.734 7.887 6.166 Fe
2.536 4.395 6.611 Fe
-1.122 2.350 5.321 O
3.441 2.647 6.834 O
-2.818 5.537 2.100 O
-3.310 3.604 6.507 O
-0.560 7.391 7.575 O
1.073 1.080 4.125 O
-5.408 4.561 4.929 O
-1.014 2.043 2.546 O
-3.604 1.066 5.374 O
-2.918 5.829 4.878 O
1.347 3.617 5.262 O
3.835 4.883 5.196 O
-0.337 6.810 2.042 O
1.628 6.137 6.389 O
2.031 8.378 4.751 O
-3.028 6.125 7.636 O
0.852 1.671 9.662 O
1.467 3.316 2.487 O
1.236 3.911 8.019 O
-1.516 0.104 6.953 O
-0.449 7.097 4.819 O
-0.952 5.165 9.206 O
-1.232 2.645 8.079 O
-0.731 4.576 3.691 O
-2.417 1.853 6.730 Mn
-4.220 5.345 6.285 Mn
0.170 2.829 3.904 Mn
-1.632 6.321 3.459 Mn
1.741 5.841 3.609 La
0.954 1.370 6.884 La
-1.398 -0.187 4.193 La
-0.611 4.284 0.919 La
-3.201 3.308 3.748 La
1.193 0.789 1.364 La
3.544 2.346 4.055 La
-0.850 4.865 6.438 Sm

2.
La7SmMn2Fe6O20 (PBE with a Hubbard U, relaxed); corrected total energy (MP2020 scheme) = -307.133 eV per formula unit; E_form = -2.77 eV per atom; SG = No. 1; V = 2086 Å³/cell; total magnetic moment = 0.94 μB per atom
1.0
0.352 2.082 10.865
-3.342 -11.149 2.261
16.736 0.035 -6.170
O Mn La Fe Sm
80 8 28 24 4
Cartesian
8.673 -6.660 -1.522 O
16.109 -0.424 -1.809 O
10.783 -5.491 1.197 O
-2.471 -9.563 3.315 O
13.908 -1.047 2.884 O
14.564 -4.902 4.712 O
11.796 -7.876 7.041 O
3.838 -6.599 7.026 O
14.478 -5.557 2.056 O
9.680 -8.938 4.740 O
3.657 -7.651 1.618 O
3.385 -7.838 10.170 O
1.717 -1.284 8.891 O
6.050 -8.048 8.432 O
1.310 -8.946 7.825 O
11.200 -4.383 -1.840 O
-0.746 -3.573 4.936 O
6.046 -6.012 2.410 O
11.621 -8.867 1.645 O
10.098 -1.264 5.842 O
-0.132 -7.904 4.615 O
16.376 0.633 3.583 O
5.847 -9.529 0.269 O
9.508 -9.996 -0.709 O
0.311 -6.676 1.630 O
0.080 -6.776 10.188 O
-0.619 -2.486 10.377 O
4.110 0.146 3.185 O
2.317 -5.532 4.276 O
7.904 0.589 6.717 O
6.271 -4.990 7.838 O
10.508 -0.033 2.791 O
-2.283 -8.552 8.813 O
7.490 -3.953 -0.876 O
7.713 -2.927 4.565 O
5.977 -8.491 5.703 O
7.788 -0.006 4.007 O
8.403 -6.884 6.944 O
10.355 -1.053 -2.701 O
2.606 -4.390 9.752 O
14.500 -6.002 -0.711 O
-0.708 -2.942 7.654 O
4.886 -3.308 3.592 O
0.482 -5.632 6.988 O
1.984 -1.109 0.427 O
-0.788 -4.050 2.266 O
5.329 -2.050 0.443 O
5.946 -6.610 -0.289 O
12.457 0.078 0.087 O
7.740 -0.448 1.274 O
12.056 -7.660 -1.435 O
12.657 1.175 5.510 O
5.073 -2.303 8.983 O
14.396 -6.656 -3.398 O
10.972 -4.453 6.619 O
-2.446 -9.107 6.075 O
16.214 0.000 0.925 O
11.459 -3.343 3.547 O
5.885 -9.077 3.004 O
7.644 -1.039 -1.427 O
2.801 -4.432 1.246 O
12.236 -6.631 4.013 O
13.289 -3.284 0.601 O
1.573 -2.276 3.532 O
6.144 -5.577 5.136 O
8.235 -7.877 1.565 O
4.166 1.087 8.570 O
7.555 -3.515 1.859 O
7.749 -2.465 7.296 O
5.509 -1.036 5.915 O
3.213 -8.926 4.657 O
8.868 -5.597 3.914 O
2.970 -3.419 6.701 O
2.180 -0.016 5.942 O
16.008 -1.070 -4.527 O
13.480 -2.239 5.981 O
1.059 -9.986 2.355 O
-2.156 -8.067 11.514 O
13.724 -2.058 -2.571 O
9.905 -2.298 0.419 O
2.924 -3.768 3.282 Mn
12.444 0.197 2.231 Mn
11.350 -3.706 0.199 Mn
9.662 -9.303 1.313 Mn
10.605 -6.405 -2.095 Mn
11.537 -2.680 5.594 Mn
1.417 -8.276 9.869 Mn
10.805 -5.355 3.346 Mn
1.788 -0.078 2.744 La
3.405 -9.999 1.814 La
12.698 -6.909 0.900 La
5.115 -4.432 0.678 La
4.298 -6.922 4.018 La
5.965 -1.319 2.882 La
0.270 -4.608 9.331 La
3.634 -8.979 7.246 La
0.875 -3.192 0.554 La
7.566 -8.756 -1.393 La
13.546 -4.419 -2.449 La
9.240 -3.147 -2.534 La
5.274 -3.390 6.117 La
10.311 0.976 5.114 La
6.138 -0.297 8.317 La
11.826 -10.026 -1.287 La
1.083 -2.138 6.011 La
7.757 -7.679 4.055 La
12.003 -8.946 4.145 La
14.517 -0.273 5.195 La
4.460 -5.848 9.451 La
12.902 -5.878 6.325 La
9.432 -2.122 2.902 La
-0.608 -7.741 7.097 La
14.382 -1.344 -0.187 La
10.075 -0.056 -0.318 La
8.421 -5.657 0.801 La
8.589 -4.608 6.234 La
-1.485 -4.530 6.622 Fe
6.695 -5.547 -1.902 Fe
2.176 -6.479 1.067 Fe
-2.413 -7.849 4.458 Fe
0.197 1.052 5.490 Fe
7.610 -2.234 0.251 Fe
1.292 -9.230 4.392 Fe
-3.302 -11.136 2.309 Fe
-0.560 -1.213 8.772 Fe
9.870 -8.176 6.772 Fe
3.847 -0.892 -0.124 Fe
3.144 -2.610 8.723 Fe
-1.648 -5.576 1.180 Fe
-2.204 -6.784 9.906 Fe
4.051 0.161 5.367 Fe
12.257 -0.901 -3.173 Fe
6.859 -4.492 3.531 Fe
6.104 -6.771 6.815 Fe
5.936 -7.806 1.388 Fe
8.534 1.065 2.405 Fe
7.796 -1.196 5.679 Fe
-0.702 -2.271 3.342 Fe
2.354 -5.443 6.453 Fe
5.004 -11.101 -0.767 Fe
1.871 0.946 8.198 Sm
0.032 -5.697 3.888 Sm
-0.772 -8.750 1.704 Sm
13.732 -3.371 2.979 Sm

3.
La7SmMnFe7O24 (PBE with a Hubbard U, relaxed); corrected total energy (MP2020 scheme) = -335.297 eV per formula unit; E_form = -2.72 eV per atom; SG = No. 160; V = 491 Å³/cell; total magnetic moment = 0.97 μB per atom
1.0
2.525 4.793 5.734
-7.405 0.789 2.604
1.008 -6.215 4.754
O Fe Mn La Sm
24 7 1 7 1
Cartesian
-4.487 -1.817 11.639 O
-2.527 2.256 10.062 O
-5.764 -4.226 8.789 O
-5.368 -1.467 9.042 O
-3.279 -3.205 9.575 O
-1.689 -1.874 7.755 O
-0.929 3.633 8.225 O
-4.992 1.262 9.285 O
-3.797 -0.120 7.217 O
-4.112 0.907 11.881 O
-2.574 -1.526 5.103 O
-2.067 -4.620 7.489 O
-4.627 4.027 9.524 O
-6.268 -1.123 6.416 O
-2.029 -0.826 12.413 O
-1.309 0.884 8.001 O
-0.069 -0.515 5.893 O
0.420 -3.617 8.273 O
-2.192 1.252 5.350 O
-0.818 -2.212 10.351 O
1.177 1.880 8.763 O
-0.441 0.520 10.595 O
1.681 -1.224 11.136 O
-5.888 1.633 6.661 O
-4.373 2.469 10.712 Fe
-3.871 -0.632 13.086 Fe
-1.436 -3.415 8.923 Fe
-0.175 -1.026 11.785 Fe
-5.130 -3.024 10.222 Fe
-5.630 0.077 7.851 Fe
-0.680 2.073 9.412 Fe
-1.938 -0.317 6.554 Mn
0.289 2.234 6.143 La
-4.666 0.235 4.581 La
-4.162 -2.867 6.947 La
-0.468 -3.260 5.653 La
0.795 -0.868 8.509 La
-3.404 2.628 7.436 La
-0.971 -0.159 3.284 La
-2.909 -0.475 9.836 Sm